1.
The following is a GGA+U calculation of crystalline LiMnPO4 at its relaxed geometry, from Materials Project.

POSCAR file:
```
LiMnPO4
1.0
9.453 0.000 0.000
0.000 6.462 0.000
0.000 0.000 4.996
Li Mn P O
4 4 4 16
Direct
0.170 0.250 0.023
0.330 0.750 0.523
0.670 0.250 0.477
0.830 0.750 0.977
0.000 0.000 0.500
0.000 0.500 0.500
0.500 0.000 0.000
0.500 0.500 0.000
0.179 0.750 0.020
0.321 0.250 0.520
0.679 0.750 0.480
0.821 0.250 0.980
0.121 0.551 0.151
0.121 0.949 0.151
0.141 0.750 0.715
0.155 0.250 0.573
0.345 0.750 0.073
0.359 0.250 0.215
0.379 0.051 0.651
0.379 0.449 0.651
0.621 0.551 0.349
0.621 0.949 0.349
0.641 0.750 0.785
0.655 0.250 0.927
0.845 0.750 0.427
0.859 0.250 0.285
0.879 0.051 0.849
0.879 0.449 0.849
```

Summary:
The calculation puts the formation energy at -2.596 eV per atom. The corrected total energy (MP2020 scheme) is -0.572 Ry per atom. For the total magnetization, the calculation gives 0.00 μB per cell. The value obtained for the offset from the most stable computed form is 0.0377 eV/atom.

---

2.
The following is a GGA+U calculation of crystalline Li3Mn3P4O16 at its relaxed geometry, from Materials Project.

POSCAR file:
```
Li3Mn3P4O16
1.0
9.299 -3.422 0.000
9.299 3.422 0.000
-0.279 0.000 10.490
Li Mn P O
6 6 8 32
Direct
0.038 0.962 0.750
0.331 0.524 0.442
0.476 0.669 0.058
0.524 0.331 0.942
0.669 0.476 0.558
0.962 0.038 0.250
0.000 0.500 0.000
0.138 0.176 0.745
0.176 0.138 0.245
0.500 0.000 0.500
0.824 0.862 0.755
0.862 0.824 0.255
0.088 0.752 0.003
0.248 0.912 0.497
0.280 0.328 0.753
0.328 0.280 0.253
0.672 0.720 0.747
0.720 0.672 0.247
0.752 0.088 0.503
0.912 0.248 0.997
0.024 0.133 0.867
0.070 0.099 0.108
0.099 0.070 0.608
0.133 0.024 0.367
0.143 0.549 0.718
0.151 0.551 0.001
0.181 0.304 0.859
0.201 0.498 0.298
0.218 0.270 0.145
0.270 0.218 0.645
0.286 0.681 0.988
0.304 0.181 0.359
0.319 0.714 0.512
0.449 0.849 0.499
0.451 0.857 0.782
0.498 0.201 0.798
0.502 0.799 0.202
0.549 0.143 0.218
0.551 0.151 0.501
0.681 0.286 0.488
0.696 0.819 0.641
0.714 0.319 0.012
0.730 0.782 0.355
0.782 0.730 0.855
0.799 0.502 0.702
0.819 0.696 0.141
0.849 0.449 0.999
0.857 0.451 0.282
0.867 0.976 0.633
0.901 0.930 0.392
0.930 0.901 0.892
0.976 0.867 0.133
```

Summary:
The calculation puts the formation energy at -2.516 eV per atom. The corrected total energy (MP2020 scheme) is -0.564 Ry per atom. For the total magnetization, the calculation gives 24.00 μB per cell. The value obtained for the offset from the most stable computed form is 0.0189 eV/atom.

---

3.
The following is a GGA+U calculation of crystalline LiMn4P3O12 at its relaxed geometry, from Materials Project.

POSCAR file:
```
LiMn4P3O12
1.0
5.950 -6.676 0.000
5.950 6.676 0.000
-3.035 0.000 5.889
Li Mn P O
2 8 6 24
Direct
0.021 0.979 0.500
0.979 0.021 0.000
0.086 0.381 0.831
0.305 0.764 0.488
0.381 0.086 0.331
0.500 0.519 0.286
0.519 0.500 0.786
0.667 0.971 0.108
0.764 0.305 0.988
0.971 0.667 0.608
0.144 0.358 0.338
0.339 0.720 0.976
0.358 0.144 0.838
0.701 0.917 0.605
0.720 0.339 0.476
0.917 0.701 0.105
0.023 0.357 0.110
0.039 0.721 0.346
0.072 0.410 0.523
0.172 0.185 0.293
0.185 0.172 0.793
0.226 0.738 0.760
0.307 0.487 0.412
0.318 0.544 0.984
0.321 0.829 0.193
0.357 0.023 0.610
0.410 0.072 0.023
0.487 0.307 0.912
0.511 0.745 0.961
0.544 0.318 0.484
0.570 0.759 0.540
0.650 0.994 0.426
0.721 0.039 0.846
0.738 0.226 0.260
0.745 0.511 0.461
0.759 0.570 0.040
0.829 0.321 0.693
0.874 0.883 0.638
0.883 0.874 0.138
0.994 0.650 0.926
```

Summary:
The calculation puts the formation energy at -2.533 eV per atom. The corrected total energy (MP2020 scheme) is -0.606 Ry per atom. For the total magnetization, the calculation gives 40.00 μB per cell. The value obtained for the offset from the most stable computed form is 0.0183 eV/atom.

---

4.
The following is a GGA+U calculation of crystalline LiMnPO5 at its relaxed geometry, from Materials Project.

POSCAR file:
```
LiMnPO5
1.0
7.166 0.000 0.000
0.000 7.816 0.000
-3.415 0.000 6.126
Li Mn P O
4 4 4 20
Direct
0.248 0.061 0.282
0.248 0.439 0.782
0.752 0.561 0.218
0.752 0.939 0.718
0.250 0.748 0.500
0.250 0.752 0.000
0.750 0.248 0.000
0.750 0.252 0.500
0.250 0.105 0.749
0.250 0.395 0.249
0.750 0.605 0.751
0.750 0.895 0.251
0.063 0.237 0.652
0.063 0.263 0.152
0.239 0.506 0.425
0.239 0.994 0.925
0.251 0.676 0.751
0.251 0.824 0.251
0.258 0.505 0.069
0.258 0.995 0.569
0.437 0.236 0.847
0.437 0.264 0.347
0.563 0.736 0.653
0.563 0.764 0.153
0.742 0.005 0.431
0.742 0.495 0.931
0.749 0.176 0.749
0.749 0.324 0.249
0.761 0.006 0.075
0.761 0.494 0.575
0.937 0.737 0.848
0.937 0.763 0.348
```

Summary:
The calculation puts the formation energy at -2.327 eV per atom. The corrected total energy (MP2020 scheme) is -0.550 Ry per atom. For the total magnetization, the calculation gives 12.00 μB per cell. The value obtained for the offset from the most stable computed form is 0.0223 eV/atom.

---

5.
The following is a GGA+U calculation of crystalline LiMn2P2O8 at its relaxed geometry, from Materials Project.

POSCAR file:
```
LiMn2P2O8
1.0
8.682 0.000 0.000
-2.244 8.831 0.000
-2.111 -3.952 11.758
Li Mn P O
6 12 12 48
Direct
0.000 0.000 0.000
0.000 0.500 0.500
0.001 0.252 0.251
0.487 0.639 0.127
0.513 0.361 0.873
0.999 0.748 0.749
0.117 0.396 0.961
0.119 0.895 0.462
0.229 0.508 0.739
0.237 0.009 0.245
0.434 0.984 0.868
0.436 0.491 0.372
0.564 0.509 0.628
0.566 0.016 0.132
0.763 0.991 0.755
0.771 0.492 0.261
0.881 0.105 0.538
0.883 0.604 0.039
0.155 0.123 0.751
0.155 0.620 0.250
0.209 0.270 0.479
0.210 0.770 0.980
0.368 0.761 0.608
0.374 0.266 0.109
0.626 0.734 0.891
0.632 0.239 0.392
0.790 0.230 0.020
0.791 0.730 0.521
0.845 0.380 0.750
0.845 0.877 0.249
0.029 0.017 0.794
0.030 0.513 0.294
0.034 0.269 0.495
0.036 0.770 0.995
0.094 0.074 0.617
0.097 0.573 0.117
0.169 0.799 0.300
0.175 0.304 0.800
0.219 0.667 0.640
0.223 0.172 0.138
0.225 0.851 0.885
0.226 0.351 0.385
0.232 0.103 0.432
0.237 0.605 0.935
0.314 0.850 0.526
0.327 0.597 0.275
0.329 0.365 0.598
0.331 0.112 0.787
0.332 0.863 0.099
0.333 0.365 0.030
0.455 0.642 0.547
0.457 0.144 0.047
0.495 0.610 0.785
0.500 0.116 0.286
0.500 0.884 0.714
0.505 0.390 0.215
0.543 0.856 0.953
0.545 0.358 0.453
0.667 0.635 0.970
0.668 0.137 0.901
0.669 0.888 0.213
0.671 0.635 0.402
0.673 0.403 0.725
0.686 0.150 0.474
0.763 0.395 0.065
0.768 0.897 0.568
0.774 0.649 0.615
0.775 0.149 0.115
0.777 0.828 0.862
0.781 0.333 0.360
0.825 0.696 0.200
0.831 0.201 0.700
0.903 0.427 0.883
0.906 0.926 0.383
0.964 0.230 0.005
0.966 0.731 0.505
0.970 0.487 0.706
0.971 0.983 0.206
```

Summary:
The calculation puts the formation energy at -2.518 eV per atom. The corrected total energy (MP2020 scheme) is -0.584 Ry per atom. For the total magnetization, the calculation gives 54.00 μB per cell. The value obtained for the offset from the most stable computed form is 0.0207 eV/atom.

---

6.
The following is a GGA+U calculation of crystalline Li2MnP3O10 at its relaxed geometry, from Materials Project.

POSCAR file:
```
Li2MnP3O10
1.0
4.674 0.000 0.000
0.000 8.613 0.000
-1.297 0.000 9.272
Li Mn P O
4 2 6 20
Direct
0.040 0.079 0.376
0.040 0.421 0.376
0.960 0.579 0.624
0.960 0.921 0.624
0.000 0.000 0.000
0.000 0.500 0.000
0.330 0.250 0.830
0.400 0.750 0.473
0.468 0.250 0.137
0.532 0.750 0.863
0.600 0.250 0.527
0.670 0.750 0.170
0.149 0.102 0.840
0.149 0.398 0.840
0.226 0.602 0.471
0.226 0.898 0.471
0.252 0.750 0.764
0.281 0.102 0.138
0.281 0.398 0.138
0.310 0.250 0.433
0.423 0.750 0.027
0.497 0.750 0.294
0.503 0.250 0.706
0.577 0.250 0.973
0.690 0.750 0.567
0.719 0.602 0.862
0.719 0.898 0.862
0.748 0.250 0.236
0.774 0.102 0.529
0.774 0.398 0.529
0.851 0.602 0.160
0.851 0.898 0.160
```

Summary:
The calculation puts the formation energy at -2.529 eV per atom. The corrected total energy (MP2020 scheme) is -0.547 Ry per atom. For the total magnetization, the calculation gives 8.00 μB per cell. The value obtained for the offset from the most stable computed form is 0.0250 eV/atom.

---

7.
The following is a GGA+U calculation of crystalline Li2MnP2O8 at its relaxed geometry, from Materials Project.

POSCAR file:
```
Li2MnP2O8
1.0
-2.030 -1.103 4.049
4.959 -0.137 -0.104
-0.967 27.000 7.992
Li Mn P O
8 4 8 32
Direct
0.674 0.208 0.038
0.424 0.208 0.288
0.174 0.208 0.538
0.924 0.208 0.788
0.076 0.792 0.212
0.826 0.792 0.462
0.576 0.792 0.712
0.326 0.792 0.962
0.875 0.500 0.625
0.625 0.500 0.875
0.375 0.500 0.125
0.125 0.500 0.375
0.715 0.158 0.178
0.465 0.158 0.428
0.214 0.157 0.678
0.965 0.157 0.928
0.036 0.843 0.072
0.786 0.843 0.322
0.535 0.842 0.572
0.286 0.843 0.822
0.540 0.150 0.224
0.290 0.150 0.474
0.039 0.150 0.724
0.790 0.150 0.974
0.210 0.850 0.026
0.961 0.850 0.276
0.710 0.850 0.526
0.460 0.850 0.776
0.582 0.263 0.137
0.332 0.264 0.387
0.081 0.263 0.637
0.832 0.263 0.887
0.168 0.737 0.113
0.919 0.737 0.363
0.668 0.737 0.613
0.418 0.737 0.863
0.063 0.166 0.086
0.813 0.166 0.336
0.562 0.166 0.586
0.312 0.166 0.836
0.688 0.834 0.164
0.438 0.834 0.414
0.187 0.834 0.664
0.938 0.834 0.914
0.084 0.379 0.182
0.834 0.379 0.432
0.583 0.379 0.682
0.334 0.379 0.932
0.666 0.621 0.068
0.416 0.621 0.318
0.166 0.621 0.568
0.916 0.621 0.818
```

Summary:
The calculation puts the formation energy at -2.453 eV per atom. The corrected total energy (MP2020 scheme) is -0.539 Ry per atom. For the total magnetization, the calculation gives 0.00 μB per cell. The value obtained for the offset from the most stable computed form is 0.0435 eV/atom.

---

8.
The following is a GGA+U calculation of crystalline LiMnPO4 at its relaxed geometry, from Materials Project.

POSCAR file:
```
LiMnPO4
1.0
7.601 0.000 0.000
0.000 17.093 0.000
0.000 0.000 4.911
Li Mn P O
8 8 8 32
Direct
0.012 0.053 0.000
0.182 0.643 0.545
0.318 0.143 0.045
0.488 0.553 0.500
0.512 0.447 0.000
0.682 0.857 0.545
0.818 0.357 0.045
0.988 0.947 0.500
0.041 0.747 0.115
0.159 0.448 0.546
0.341 0.948 0.046
0.459 0.247 0.615
0.541 0.753 0.115
0.659 0.052 0.546
0.841 0.552 0.046
0.959 0.253 0.615
0.215 0.326 0.995
0.240 0.075 0.510
0.260 0.575 0.010
0.285 0.826 0.495
0.715 0.174 0.995
0.740 0.425 0.510
0.760 0.925 0.010
0.785 0.674 0.495
0.043 0.356 0.852
0.070 0.045 0.375
0.098 0.532 0.872
0.128 0.867 0.353
0.206 0.337 0.308
0.227 0.239 0.907
0.238 0.664 0.945
0.239 0.055 0.819
0.261 0.555 0.319
0.262 0.164 0.445
0.273 0.739 0.407
0.294 0.837 0.808
0.372 0.367 0.853
0.402 0.032 0.372
0.430 0.545 0.875
0.457 0.856 0.352
0.543 0.144 0.852
0.570 0.455 0.375
0.598 0.968 0.872
0.628 0.633 0.353
0.706 0.163 0.308
0.727 0.261 0.907
0.738 0.836 0.945
0.739 0.445 0.819
0.761 0.945 0.319
0.762 0.336 0.445
0.773 0.761 0.407
0.794 0.663 0.808
0.872 0.133 0.853
0.902 0.468 0.372
0.930 0.955 0.875
0.957 0.644 0.352
```

Summary:
The calculation puts the formation energy at -2.537 eV per atom. The corrected total energy (MP2020 scheme) is -0.567 Ry per atom. For the total magnetization, the calculation gives 40.00 μB per cell. The value obtained for the offset from the most stable computed form is 0.0964 eV/atom.

---

What is the corrected total energy (MP2020 scheme) in the second record? -0.564 Ry per atom